This record from Materials Project describes a relaxed structure of Ti2CrN3. The functional is PBE.

Unit cell a=2.824 b=3.569 c=11.418 alpha=90.00 beta=90.00 gamma=90.00
Space group Immm (No. 71)
Inequivalent atoms, fractional coordinates:
Ti (0.000, 0.000, 0.154) (multiplicity 4)
Cr (0.000, 0.000, 0.500) (multiplicity 2)
N (0.000, 0.000, 0.330) (multiplicity 4)
N (0.000, 0.500, 0.500) (multiplicity 2)



This record from Materials Project describes a relaxed structure of TiCrN2. The functional is PBE.

Unit cell a=3.0054 b=3.0054 c=14.1666 alpha=90.00 beta=90.00 gamma=120.00
Space group R-3m (No. 166, hexagonal axes)
Inequivalent atoms, fractional coordinates:
Ti (0.0000, 0.0000, 0.0000) (multiplicity 3)
Cr (0.0000, 0.0000, 0.5000) (multiplicity 3)
N (0.0000, 0.0000, 0.2481) (multiplicity 6)



This record from Materials Project describes a relaxed structure of V3CrN3. The functional is PBE.

Unit cell a=6.6358 b=6.6358 c=4.0160 alpha=90.00 beta=90.00 gamma=120.00
Space group P6_3/mmc (No. 194)
Inequivalent atoms, fractional coordinates:
V (0.1650, 0.3301, 0.2500) (multiplicity 6)
Cr (0.3333, 0.6667, 0.7500) (multiplicity 2)
N (0.1743, 0.3486, 0.7500) (multiplicity 6)



This record from Materials Project describes a relaxed structure of CrWN2. The functional is PBE.

Unit cell a=2.8569 b=2.8569 c=15.9886 alpha=90.00 beta=90.00 gamma=120.00
Space group R3m (No. 160, hexagonal axes)
Inequivalent atoms, fractional coordinates:
Cr (0.0000, 0.0000, 0.0000) (multiplicity 3)
W (0.0000, 0.0000, 0.1663) (multiplicity 3)
N (0.0000, 0.0000, 0.4153) (multiplicity 3)
N (0.0000, 0.0000, 0.5849) (multiplicity 3)



This record from Materials Project describes a relaxed structure of YCrN2. The functional is PBE.

Unit cell a=6.504 b=11.167 c=13.037 alpha=90.00 beta=90.00 gamma=90.00
Space group Pbca (No. 61)
Inequivalent atoms, fractional coordinates:
Y (0.036, 0.088, 0.204) (multiplicity 8)
Y (0.100, 0.714, 0.545) (multiplicity 8)
Cr (0.159, 0.541, 0.965) (multiplicity 8)
Cr (0.236, 0.661, 0.789) (multiplicity 8)
N (0.003, 0.719, 0.724) (multiplicity 8)
N (0.088, 0.114, 0.513) (multiplicity 8)
N (0.165, 0.116, 0.047) (multiplicity 8)
N (0.234, 0.503, 0.828) (multiplicity 8)



This record from Materials Project describes a relaxed structure of Zn3CrN3. The functional is PBE.

Unit cell a=6.5829 b=6.5829 c=4.5180 alpha=90.00 beta=90.00 gamma=120.00
Space group P6_3/mmc (No. 194)
Inequivalent atoms, fractional coordinates:
Zn (0.1818, 0.3636, 0.2500) (multiplicity 6)
Cr (0.3333, 0.6667, 0.7500) (multiplicity 2)
N (0.1777, 0.3555, 0.7500) (multiplicity 6)



This record from Materials Project describes a relaxed structure of Zr2CrN3. The functional is PBE.

Unit cell a=3.105 b=3.609 c=12.090 alpha=90.00 beta=90.00 gamma=90.00
Space group Immm (No. 71)
Inequivalent atoms, fractional coordinates:
Zr (0.000, 0.000, 0.150) (multiplicity 4)
Cr (0.000, 0.000, 0.500) (multiplicity 2)
N (0.000, 0.000, 0.331) (multiplicity 4)
N (0.000, 0.500, 0.500) (multiplicity 2)



This record from Materials Project describes a relaxed structure of Na3Cr. The functional is PBE.

Unit cell a=4.957 b=4.957 c=9.659 alpha=90.00 beta=90.00 gamma=90.00
Space group I4/mmm (No. 139)
Inequivalent atoms, fractional coordinates:
Na (0.000, 0.000, 0.000) (multiplicity 2)
Na (0.000, 0.500, 0.250) (multiplicity 4)
Cr (0.000, 0.000, 0.500) (multiplicity 2)



| no. | energy relative to the elements (eV/atom) |
| --- | --- |
| 1 | -1.1746 |
| 2 | -1.2599 |
| 3 | -0.9675 |
| 4 | -0.4664 |
| 5 | -1.0441 |
| 6 | -0.1183 |
| 7 | -1.3743 |
| 8 | 0.5576 |